SrV2P2O9 PBE with a Hubbard U optimized geometry; DFT total energy = -7.5948 eV/atom; calculated formation energy = -2907 meV/atom
1.0
-5.977 -1.517 2.469
1.220 -7.404 -1.596
5.860 -1.848 13.051
Sr V P O
4 8 8 36
direct
0.250 0.878 0.721
0.750 0.122 0.279
0.750 0.378 0.779
0.250 0.622 0.221
0.000 0.000 0.500
0.500 0.000 0.500
0.750 0.653 0.383
0.500 0.500 0.000
0.750 0.847 0.883
0.250 0.153 0.117
0.250 0.347 0.617
0.000 0.500 0.000
0.250 0.853 0.939
0.750 0.147 0.061
0.750 0.353 0.561
0.250 0.647 0.439
0.750 0.890 0.691
0.250 0.110 0.309
0.250 0.390 0.809
0.750 0.610 0.191
0.061 0.100 0.372
0.561 0.900 0.628
0.939 0.600 0.128
0.439 0.400 0.872
0.939 0.900 0.628
0.439 0.100 0.372
0.061 0.400 0.872
0.561 0.600 0.128
0.250 0.829 0.489
0.750 0.171 0.511
0.750 0.329 0.011
0.250 0.671 0.989
0.750 0.625 0.946
0.250 0.375 0.054
0.250 0.125 0.554
0.750 0.875 0.446
0.750 0.721 0.750
0.250 0.279 0.250
0.250 0.221 0.750
0.750 0.779 0.250
0.435 0.639 0.375
0.935 0.361 0.625
0.565 0.139 0.125
0.065 0.861 0.875
0.565 0.361 0.625
0.065 0.639 0.375
0.435 0.861 0.875
0.935 0.139 0.125
0.750 0.008 0.986
0.250 0.535 0.734
0.250 0.965 0.234
0.750 0.035 0.766
0.750 0.492 0.486
0.250 0.508 0.514
0.250 0.992 0.014
0.750 0.465 0.266